# 1
K2VH4C4O9: relaxed, GGA+U.

**Crystal system**: orthorhombic
**ΔE_f**: -31.5 eV per formula unit

Structure (POSCAR):
```
K2VH4C4O9
1.0
-0.5864 -2.4672 6.5034
9.5917 -11.1224 -3.3546
15.8777 11.8993 5.9459
K V H C O
16 8 32 32 72
direct
0.2605 0.4704 0.9430
0.3940 0.6037 0.1934
0.7605 0.0296 0.0570
0.7395 0.5296 0.0570
0.7605 0.4704 0.5570
0.3940 0.8963 0.6934
0.2605 0.0296 0.4430
0.1060 0.3963 0.6934
0.2395 0.9704 0.9430
0.6060 0.3963 0.8066
0.6060 0.1037 0.3066
0.2395 0.5296 0.4430
0.1060 0.1037 0.1934
0.8940 0.6037 0.3066
0.8940 0.8963 0.8066
0.7395 0.9704 0.5570
0.5588 0.6984 0.6118
0.0588 0.8016 0.3882
0.9412 0.1984 0.6118
0.5588 0.8016 0.1118
0.4412 0.1984 0.8882
0.0588 0.6984 0.8882
0.9412 0.3016 0.1118
0.4412 0.3016 0.3882
0.7161 0.5916 0.8530
0.2161 0.5916 0.6470
0.0300 0.2246 0.8410
0.3055 0.2359 0.5321
0.7839 0.0916 0.8530
0.3767 0.1078 0.7585
0.4700 0.7246 0.8410
0.6233 0.8922 0.2415
0.8055 0.2641 0.4679
0.1945 0.7641 0.0321
0.8055 0.2359 0.9679
0.6233 0.6078 0.7415
0.3055 0.2641 0.0321
0.6945 0.7641 0.4679
0.3767 0.3922 0.2585
0.9700 0.7246 0.6590
0.7161 0.9084 0.3530
0.2839 0.4084 0.1470
0.5300 0.2246 0.6590
0.1233 0.8922 0.2585
0.1233 0.6078 0.7585
0.2839 0.0916 0.6470
0.7839 0.4084 0.3530
0.6945 0.7359 0.9679
0.5300 0.2754 0.1590
0.2161 0.9084 0.1470
0.8767 0.1078 0.7415
0.0300 0.2754 0.3410
0.4700 0.7754 0.3410
0.8767 0.3922 0.2415
0.1945 0.7359 0.5321
0.9700 0.7754 0.1590
0.0836 0.2935 0.8462
0.7028 0.2117 0.4823
0.4164 0.7065 0.3462
0.2490 0.4366 0.0988
0.9164 0.7065 0.1538
0.7028 0.2883 0.9823
0.2972 0.7883 0.5177
0.7233 0.9268 0.2086
0.7510 0.9366 0.4012
0.7972 0.7117 0.4823
0.2028 0.2883 0.5177
0.7767 0.4268 0.2086
0.5836 0.2065 0.1538
0.2233 0.5732 0.7914
0.7490 0.0634 0.9012
0.2490 0.0634 0.5988
0.7233 0.5732 0.7086
0.5836 0.2935 0.6538
0.2233 0.9268 0.2914
0.2767 0.4268 0.2914
0.7767 0.0732 0.7086
0.2510 0.9366 0.0988
0.2767 0.0732 0.7914
0.0836 0.2065 0.3462
0.2510 0.5634 0.5988
0.2972 0.7117 0.0177
0.7490 0.4366 0.4012
0.7510 0.5634 0.9012
0.9164 0.7935 0.6538
0.4164 0.7935 0.8462
0.7972 0.7883 0.9823
0.2028 0.2117 0.0177
0.4184 0.7145 0.6747
0.2443 0.6994 0.3696
0.3472 0.4981 0.0759
0.0168 0.8583 0.6694
0.3212 0.5092 0.7717
0.1032 0.0991 0.5696
0.3472 0.0019 0.5759
0.7556 0.8371 0.0295
0.8968 0.5991 0.9304
0.5168 0.8583 0.8306
0.7299 0.8969 0.1500
0.0468 0.2052 0.0498
0.2299 0.6031 0.8500
0.1528 0.5019 0.5759
0.9532 0.7948 0.9502
0.7701 0.3969 0.1500
0.9532 0.7052 0.4502
0.0816 0.2855 0.1747
0.7557 0.1994 0.1304
0.8472 0.4981 0.4241
0.4832 0.1417 0.1694
0.7444 0.3371 0.0295
0.5816 0.2145 0.8253
0.7556 0.6629 0.5295
0.6032 0.0991 0.9304
0.7299 0.6031 0.6500
0.7443 0.8006 0.6304
0.1528 0.9981 0.0759
0.0168 0.6417 0.1694
0.5468 0.2052 0.4502
0.4184 0.7855 0.1747
0.6788 0.0092 0.7283
0.2557 0.1994 0.3696
0.3968 0.9009 0.0696
0.1788 0.4908 0.2717
0.8212 0.5092 0.7283
0.2443 0.8006 0.8696
0.1032 0.4009 0.0696
0.7443 0.6994 0.1304
0.7557 0.3006 0.6304
0.1788 0.0092 0.7717
0.7444 0.1629 0.5295
0.8472 0.0019 0.9241
0.2701 0.1031 0.8500
0.0468 0.2948 0.5498
0.6528 0.9981 0.4241
0.9832 0.3583 0.8306
0.2701 0.3969 0.3500
0.2556 0.8371 0.4705
0.5168 0.6417 0.3306
0.5468 0.2948 0.9502
0.4532 0.7948 0.5498
0.5816 0.2855 0.3253
0.7701 0.1031 0.6500
0.6788 0.4908 0.2283
0.6032 0.4009 0.4304
0.6528 0.5019 0.9241
0.2444 0.3371 0.4705
0.4532 0.7052 0.0498
0.2299 0.8969 0.3500
0.2557 0.3006 0.8696
0.3212 0.9908 0.2717
0.9184 0.7855 0.3253
0.4832 0.3583 0.6694
0.0816 0.2145 0.6747
0.9832 0.1417 0.3306
0.2444 0.1629 0.9705
0.9184 0.7145 0.8253
0.8212 0.9908 0.2283
0.2556 0.6629 0.9705
0.8968 0.9009 0.4304
0.3968 0.5991 0.5696
```



# 2
Li4NbFe3Cu2P6O24: relaxed, GGA+U.

**Crystal system**: triclinic
**ΔE_f**: -94.7 eV per formula unit

Structure (POSCAR):
```
Li4NbFe3Cu2P6O24
1.0
-5.5421 5.8621 -3.3549
-8.2843 -2.4575 -1.5027
-6.3600 3.2629 5.0927
Li Nb Fe Cu P O
4 1 3 2 6 24
direct
0.7342 0.1595 0.3565
0.3118 0.8293 0.6451
0.6431 0.3091 0.8349
0.8290 0.6415 0.3137
0.8542 0.8486 0.8543
0.1459 0.1481 0.1435
0.3542 0.3583 0.3542
0.6517 0.6497 0.6582
0.0357 0.9975 0.9899
0.4648 0.5191 0.5023
0.0513 0.7495 0.4397
0.4460 0.0448 0.7497
0.7519 0.4387 0.0486
0.2490 0.5405 0.9612
0.5454 0.9612 0.2533
0.9518 0.2488 0.5368
0.1262 0.2680 0.5100
0.2862 0.5302 0.1163
0.0666 0.9180 0.2625
0.5566 0.1115 0.2850
0.9855 0.8129 0.6116
0.2336 0.5939 0.4435
0.2610 0.0824 0.9065
0.4751 0.2143 0.5808
0.1689 0.3950 0.0102
0.6005 0.4370 0.2368
0.1016 0.7435 0.9029
0.3840 0.0256 0.1889
0.6117 0.9739 0.8226
0.9093 0.2529 0.0761
0.4169 0.5411 0.7768
0.8202 0.6064 0.9820
0.5425 0.7798 0.4203
0.7397 0.8969 0.1007
0.7747 0.4200 0.5513
0.9674 0.1873 0.3906
0.4623 0.8879 0.7045
0.8996 0.0980 0.7385
0.6925 0.4625 0.8996
0.8975 0.6937 0.4637
```



# 3
KNaMo2O5: relaxed, GGA+U.

**Crystal system**: triclinic
**ΔE_f**: -16.6 eV per formula unit

Structure (POSCAR):
```
KNaMo2O5
1.0
-3.3250 -7.0823 8.4287
-7.9282 7.9346 3.5664
-4.8495 -6.6866 -15.3826
K Na Mo O
16 16 32 80
direct
0.3048 0.0667 0.1091
0.3042 0.5624 0.1083
0.8059 0.0652 0.1108
0.8053 0.5630 0.1092
0.2000 0.9361 0.3948
0.1920 0.9290 0.8827
0.7005 0.4362 0.3959
0.6922 0.4294 0.8835
0.6991 0.9343 0.3953
0.0576 0.2956 0.1092
0.0545 0.7919 0.1075
0.5539 0.2933 0.1075
0.5548 0.7937 0.1066
0.4508 0.7108 0.3962
0.4408 0.7046 0.8827
0.9416 0.7030 0.8826
0.3000 0.0694 0.6043
0.3008 0.5653 0.6015
0.8019 0.0674 0.6044
0.7992 0.5676 0.6025
0.2019 0.4372 0.4037
0.1981 0.4331 0.8955
0.6970 0.9333 0.8948
0.0513 0.2843 0.6027
0.0512 0.7858 0.6022
0.5508 0.2859 0.6021
0.5518 0.7859 0.6036
0.4516 0.2157 0.4046
0.4472 0.2116 0.8951
0.9507 0.2170 0.4040
0.9466 0.2121 0.8951
0.9505 0.7158 0.4033
0.0050 0.9986 0.9954
0.0140 0.0023 0.5051
0.0045 0.4958 0.9945
0.0148 0.5017 0.5030
0.5047 0.9982 0.9938
0.5140 0.0053 0.5070
0.5050 0.4963 0.9949
0.5145 0.5015 0.5061
0.2549 0.2481 0.9941
0.2640 0.2533 0.5045
0.2544 0.7464 0.9946
0.2634 0.7507 0.5049
0.7555 0.2450 0.9931
0.7661 0.2514 0.5052
0.7548 0.7490 0.9954
0.7654 0.7531 0.5071
0.0981 0.1062 0.2574
0.0883 0.0962 0.7466
0.0966 0.5934 0.2569
0.0897 0.5834 0.7407
0.5979 0.1001 0.2551
0.5882 0.0884 0.7462
0.5992 0.5925 0.2518
0.5889 0.5896 0.7432
0.3460 0.4034 0.2576
0.3380 0.3995 0.7463
0.3483 0.9144 0.2525
0.3395 0.9096 0.7420
0.8540 0.4061 0.2540
0.8422 0.3999 0.7430
0.8514 0.9108 0.2551
0.8366 0.9110 0.7466
0.1280 0.1244 0.4897
0.1219 0.1207 0.9834
0.1274 0.6165 0.4838
0.1238 0.6135 0.9826
0.6302 0.1250 0.4933
0.6228 0.1149 0.9796
0.6321 0.6234 0.4948
0.6235 0.6186 0.9854
0.1326 0.3762 0.0023
0.1467 0.3865 0.5199
0.1343 0.8768 0.0066
0.1447 0.8821 0.5208
0.6329 0.3738 0.0043
0.6464 0.3842 0.5223
0.6347 0.8791 0.0046
0.6480 0.8879 0.5257
0.3815 0.1229 0.4895
0.3742 0.1182 0.9814
0.3787 0.6166 0.4922
0.3710 0.6131 0.9829
0.8825 0.1199 0.4893
0.8727 0.1145 0.9806
0.8837 0.6221 0.4916
0.8735 0.6168 0.9856
0.3830 0.3772 0.0031
0.3964 0.3858 0.5209
0.3836 0.8791 0.0059
0.3975 0.8908 0.5260
0.8853 0.3758 0.0048
0.8984 0.3860 0.5219
0.8820 0.8800 0.0048
0.8971 0.8867 0.5226
0.0743 0.0899 0.1383
0.0905 0.1104 0.6401
0.0769 0.5852 0.1411
0.0958 0.6105 0.6402
0.5745 0.0893 0.1374
0.5905 0.1122 0.6436
0.5767 0.5897 0.1368
0.5930 0.6126 0.6408
0.4481 0.3912 0.3654
0.4397 0.3935 0.8560
0.4458 0.9092 0.3652
0.4417 0.9082 0.8542
0.9521 0.3910 0.3634
0.9392 0.3966 0.8552
0.9446 0.8932 0.3647
0.9415 0.9070 0.8566
0.3250 0.3025 0.1385
0.3393 0.2793 0.6398
0.3299 0.7995 0.1399
0.3407 0.7788 0.6412
0.8327 0.2988 0.1380
0.8466 0.2754 0.6399
0.8324 0.8015 0.1401
0.8424 0.7849 0.6442
0.2049 0.2241 0.3647
0.1935 0.2112 0.8555
0.2029 0.7098 0.3660
0.1860 0.6964 0.8550
0.7094 0.2082 0.3653
0.7003 0.1991 0.8551
0.7007 0.7042 0.3657
0.6834 0.7076 0.8556
0.4417 0.0716 0.2677
0.4192 0.0661 0.7473
0.4408 0.5456 0.2537
0.4197 0.5414 0.7325
0.9433 0.0685 0.2699
0.9214 0.0633 0.7476
0.9380 0.5663 0.2675
0.9192 0.5440 0.7308
0.1887 0.4487 0.2681
0.1711 0.4322 0.7462
0.1865 0.9567 0.2517
0.1681 0.9400 0.7322
0.6924 0.4483 0.2530
0.6728 0.4366 0.7327
0.6886 0.9526 0.2523
0.6669 0.9343 0.7463
```



# 4
SrCoO3: relaxed, GGA+U.

**Crystal system**: triclinic
**ΔE_f**: -9.7 eV per formula unit

Structure (POSCAR):
```
SrCoO3
1.0
4.9288 0.0000 0.0000
0.0094 5.5002 0.0000
0.9640 0.0586 9.5832
Sr Co O
4 4 12
direct
0.4672 0.7475 0.6562
0.5328 0.2525 0.3438
0.9791 0.2498 0.6537
0.0209 0.7502 0.3463
0.5000 0.0000 0.0000
0.9973 0.7505 0.9972
0.5000 0.5000 0.0000
0.0027 0.2495 0.0028
0.8096 0.9987 0.1056
0.3144 0.2456 0.1036
0.3047 0.7514 0.1002
0.5139 0.7506 0.3942
0.1859 0.4999 0.8969
0.6953 0.2486 0.8998
0.8141 0.5001 0.1031
0.4861 0.2494 0.6058
0.1904 0.0013 0.8944
0.6856 0.7544 0.8964
0.9790 0.7431 0.6048
0.0210 0.2569 0.3952
```



# 5
Li2Ni2SbO6: relaxed, GGA+U.

**Crystal system**: orthorhombic
**ΔE_f**: -18.7 eV per formula unit
**Energy relative to the lowest polymorph listed for this composition**: 8 meV per atom

Structure (POSCAR):
```
Li2Ni2SbO6
1.0
-4.8243 -1.9036 0.1342
3.1339 -0.8331 4.0496
-3.2409 8.5137 4.2595
Li Ni Sb O
4 4 2 12
direct
0.6446 0.1446 0.7500
0.8554 0.3554 0.2500
0.1446 0.6446 0.7500
0.3554 0.8554 0.2500
0.8350 0.1650 0.5000
0.6650 0.3350 0.0000
0.3350 0.6650 0.0000
0.1650 0.8350 0.5000
0.0000 0.0000 0.0000
0.5000 0.5000 0.5000
0.6827 0.0224 0.1107
0.3173 0.9776 0.8893
0.5224 0.1827 0.3893
0.8173 0.4776 0.6107
0.1703 0.1703 0.5996
0.3297 0.3297 0.0996
0.6703 0.6703 0.9004
0.9776 0.3173 0.8893
0.8297 0.8297 0.4004
0.1827 0.5224 0.3893
0.4776 0.8173 0.6107
0.0224 0.6827 0.1107
```



Q: Which value of ΔE_f does entry 4 give?
A: -9.7 eV per formula unit



Q: The highest ΔE_f belongs to which entry?
A: SrCoO3



Q: The highest ΔE_f belongs to which entry?
A: SrCoO3



Q: The highest ΔE_f belongs to which entry?
A: SrCoO3